Record 1
# WI2

A relaxed WI2 crystal (PBE-GGA, the Materials Project database).

a = 10.808 Å, b = 10.808 Å, c = 12.940 Å
α = 90.00°, β = 90.00°, γ = 72.93°
Sites, in units of the cell vectors:
W 0.066 0.934 0.869
W 0.109 0.109 0.000
W 0.132 0.868 0.066
W 0.368 0.632 0.566
W 0.391 0.391 0.500
W 0.434 0.566 0.369
W 0.566 0.434 0.631
W 0.609 0.609 0.500
W 0.632 0.368 0.434
W 0.868 0.132 0.934
W 0.891 0.891 0.000
W 0.934 0.066 0.131
I 0.044 0.184 0.793
I 0.095 0.677 0.931
I 0.157 0.843 0.659
I 0.177 0.595 0.431
I 0.184 0.044 0.207
I 0.228 0.228 0.500
I 0.272 0.272 0.000
I 0.316 0.456 0.707
I 0.323 0.905 0.931
I 0.343 0.657 0.159
I 0.405 0.823 0.431
I 0.456 0.316 0.293
I 0.544 0.684 0.707
I 0.595 0.177 0.569
I 0.657 0.343 0.841
I 0.677 0.095 0.069
I 0.684 0.544 0.293
I 0.728 0.728 0.000
I 0.772 0.772 0.500
I 0.816 0.956 0.793
I 0.823 0.405 0.569
I 0.843 0.157 0.341
I 0.905 0.323 0.069
I 0.956 0.816 0.207

***

Record 2
# Ba3AlN3

A relaxed Ba3AlN3 crystal (PBE-GGA, the Materials Project database).

a = 8.385 Å, b = 8.385 Å, c = 5.610 Å
α = 90.00°, β = 90.00°, γ = 120.00°
Sites, in units of the cell vectors:
Ba 0.058 0.363 0.250
Ba 0.306 0.942 0.250
Ba 0.363 0.306 0.750
Ba 0.637 0.694 0.250
Ba 0.694 0.058 0.750
Ba 0.942 0.637 0.750
Al 0.333 0.667 0.750
Al 0.667 0.333 0.250
N 0.125 0.434 0.750
N 0.310 0.875 0.750
N 0.434 0.310 0.250
N 0.566 0.690 0.750
N 0.690 0.125 0.250
N 0.875 0.566 0.250

***

Record 3
# FeSb6Pb4S14

A relaxed FeSb6Pb4S14 crystal (PBE-GGA, the Materials Project database).

a = 4.044 Å, b = 19.484 Å, c = 15.971 Å
α = 90.00°, β = 92.23°, γ = 90.00°
Sites, in units of the cell vectors:
Fe 0.000 0.000 0.000
Fe 0.000 0.500 0.500
Sb 0.372 0.161 0.372
Sb 0.372 0.339 0.872
Sb 0.373 0.054 0.604
Sb 0.373 0.446 0.104
Sb 0.407 0.560 0.317
Sb 0.407 0.940 0.817
Sb 0.593 0.060 0.183
Sb 0.593 0.440 0.683
Sb 0.627 0.554 0.896
Sb 0.627 0.946 0.396
Sb 0.628 0.661 0.128
Sb 0.628 0.839 0.628
Pb 0.037 0.637 0.683
Pb 0.037 0.863 0.183
Pb 0.065 0.742 0.925
Pb 0.065 0.758 0.425
Pb 0.935 0.242 0.575
Pb 0.935 0.258 0.075
Pb 0.963 0.137 0.817
Pb 0.963 0.363 0.317
S 0.016 0.101 0.082
S 0.016 0.399 0.582
S 0.032 0.507 0.785
S 0.032 0.993 0.285
S 0.063 0.604 0.000
S 0.063 0.896 0.500
S 0.107 0.701 0.220
S 0.107 0.799 0.720
S 0.416 0.230 0.950
S 0.416 0.270 0.450
S 0.442 0.162 0.684
S 0.442 0.338 0.184
S 0.474 0.044 0.907
S 0.474 0.456 0.407
S 0.526 0.544 0.593
S 0.526 0.956 0.093
S 0.558 0.662 0.816
S 0.558 0.838 0.316
S 0.584 0.730 0.550
S 0.584 0.770 0.050
S 0.893 0.201 0.280
S 0.893 0.299 0.780
S 0.937 0.104 0.500
S 0.937 0.396 0.000
S 0.968 0.007 0.715
S 0.968 0.493 0.215
S 0.984 0.601 0.418
S 0.984 0.899 0.918

***

Record 4
# Hf2V3Ru

A relaxed Hf2V3Ru crystal (PBE-GGA, the Materials Project database).

a = 5.245 Å, b = 5.245 Å, c = 8.256 Å
α = 90.00°, β = 90.00°, γ = 120.00°
Sites, in units of the cell vectors:
Hf 0.333 0.667 0.060
Hf 0.333 0.667 0.440
Hf 0.667 0.333 0.560
Hf 0.667 0.333 0.940
V 0.171 0.341 0.750
V 0.171 0.829 0.750
V 0.341 0.171 0.250
V 0.659 0.829 0.750
V 0.829 0.171 0.250
V 0.829 0.659 0.250
Ru 0.000 0.000 0.000
Ru 0.000 0.000 0.500

***

Record 5
# LiBi2PO6

A relaxed LiBi2PO6 crystal (PBE-GGA, the Materials Project database).

a = 9.956 Å, b = 5.671 Å, c = 14.177 Å
α = 90.00°, β = 134.55°, γ = 90.00°
Sites, in units of the cell vectors:
Li 0.111 0.244 0.001
Li 0.111 0.256 0.501
Li 0.889 0.744 0.499
Li 0.889 0.756 0.999
Bi 0.143 0.234 0.750
Bi 0.143 0.266 0.250
Bi 0.359 0.734 0.749
Bi 0.359 0.766 0.249
Bi 0.641 0.234 0.751
Bi 0.641 0.266 0.251
Bi 0.857 0.734 0.750
Bi 0.857 0.766 0.250
P 0.341 0.748 0.999
P 0.341 0.752 0.499
P 0.659 0.248 0.501
P 0.659 0.252 0.001
O 0.104 0.550 0.648
O 0.104 0.950 0.148
O 0.188 0.551 0.934
O 0.188 0.949 0.434
O 0.196 0.052 0.648
O 0.196 0.448 0.148
O 0.314 0.559 0.562
O 0.314 0.941 0.062
O 0.322 0.636 0.390
O 0.322 0.864 0.890
O 0.459 0.135 0.391
O 0.459 0.365 0.891
O 0.541 0.635 0.109
O 0.541 0.865 0.609
O 0.678 0.136 0.110
O 0.678 0.364 0.610
O 0.686 0.059 0.938
O 0.686 0.441 0.438
O 0.804 0.552 0.852
O 0.804 0.948 0.352
O 0.812 0.051 0.566
O 0.812 0.449 0.066
O 0.896 0.050 0.852
O 0.896 0.450 0.352

***

Record 6
# KCuP2Se5

A relaxed KCuP2Se5 crystal (PBE-GGA, the Materials Project database).

a = 10.765 Å, b = 7.857 Å, c = 13.309 Å
α = 90.00°, β = 120.85°, γ = 90.00°
Sites, in units of the cell vectors:
K 0.120 0.126 0.221
K 0.120 0.374 0.721
K 0.880 0.626 0.279
K 0.880 0.874 0.779
Cu 0.353 0.663 0.169
Cu 0.353 0.837 0.669
Cu 0.647 0.163 0.331
Cu 0.647 0.337 0.831
P 0.305 0.652 0.422
P 0.305 0.848 0.922
P 0.329 0.066 0.043
P 0.329 0.434 0.543
P 0.671 0.566 0.457
P 0.671 0.934 0.957
P 0.695 0.152 0.078
P 0.695 0.348 0.578
Se 0.119 0.190 0.965
Se 0.119 0.310 0.465
Se 0.195 0.564 0.240
Se 0.195 0.936 0.740
Se 0.207 0.632 0.961
Se 0.207 0.868 0.461
Se 0.429 0.532 0.725
Se 0.429 0.968 0.225
Se 0.464 0.243 0.508
Se 0.464 0.257 0.008
Se 0.536 0.743 0.992
Se 0.536 0.757 0.492
Se 0.571 0.032 0.775
Se 0.571 0.468 0.275
Se 0.793 0.132 0.539
Se 0.793 0.368 0.039
Se 0.805 0.064 0.260
Se 0.805 0.436 0.760
Se 0.881 0.690 0.535
Se 0.881 0.810 0.035

***

Record 7
# U2N3

A relaxed U2N3 crystal (PBE-GGA, the Materials Project database).

a = 3.693 Å, b = 3.693 Å, c = 5.770 Å
α = 90.00°, β = 90.00°, γ = 120.00°
Sites, in units of the cell vectors:
U 0.333 0.667 0.258
U 0.667 0.333 0.742
N 0.000 0.000 0.500
N 0.333 0.667 0.857
N 0.667 0.333 0.143

***

Record 8
# LaMn2Si2

A relaxed LaMn2Si2 crystal (PBE-GGA, the Materials Project database).

a = 6.013 Å, b = 6.013 Å, c = 6.013 Å
α = 140.96°, β = 140.96°, γ = 56.39°
Sites, in units of the cell vectors:
La 0.000 0.000 0.000
Mn 0.250 0.750 0.500
Mn 0.750 0.250 0.500
Si 0.371 0.371 0.000
Si 0.629 0.629 0.000

***

Record 9
# La2AlNi9H

A relaxed La2AlNi9H crystal (PBE-GGA, the Materials Project database).

a = 4.977 Å, b = 8.090 Å, c = 5.010 Å
α = 90.00°, β = 119.39°, γ = 90.00°
Sites, in units of the cell vectors:
La 0.000 0.234 0.000
La 0.000 0.766 0.000
Al 0.497 0.500 0.497
Ni 0.001 0.000 0.501
Ni 0.002 0.500 0.509
Ni 0.336 0.248 0.671
Ni 0.336 0.752 0.671
Ni 0.500 0.000 0.998
Ni 0.502 0.000 0.500
Ni 0.502 0.500 0.002
Ni 0.665 0.247 0.322
Ni 0.665 0.753 0.322
H 0.925 0.500 0.788

***

Record 10
# CeBPt4

A relaxed CeBPt4 crystal (PBE-GGA, the Materials Project database).

a = 5.481 Å, b = 5.481 Å, c = 7.730 Å
α = 90.00°, β = 90.00°, γ = 120.00°
Sites, in units of the cell vectors:
Ce 0.000 0.000 0.000
Ce 0.000 0.000 0.500
B 0.333 0.667 0.000
B 0.667 0.333 0.000
Pt 0.000 0.500 0.200
Pt 0.000 0.500 0.800
Pt 0.333 0.667 0.500
Pt 0.500 0.000 0.200
Pt 0.500 0.000 0.800
Pt 0.500 0.500 0.200
Pt 0.500 0.500 0.800
Pt 0.667 0.333 0.500

***

Record 11
# MgCO6

A relaxed MgCO6 crystal (PBE-GGA, the Materials Project database).

Results
- ΔE to the lowest computed polymorph: 241 meV/atom

a = 6.458 Å, b = 5.363 Å, c = 13.187 Å
α = 90.00°, β = 118.39°, γ = 90.00°
Sites, in units of the cell vectors:
Mg 0.113 0.097 0.357
Mg 0.113 0.403 0.857
Mg 0.887 0.597 0.143
Mg 0.887 0.903 0.643
C 0.166 0.638 0.416
C 0.166 0.862 0.916
C 0.834 0.138 0.084
C 0.834 0.362 0.584
O 0.056 0.714 0.308
O 0.056 0.786 0.808
O 0.197 0.087 0.946
O 0.197 0.413 0.446
O 0.239 0.671 0.986
O 0.239 0.829 0.486
O 0.257 0.578 0.168
O 0.257 0.922 0.668
O 0.420 0.083 0.327
O 0.420 0.417 0.827
O 0.431 0.210 0.173
O 0.431 0.290 0.673
O 0.569 0.710 0.327
O 0.569 0.790 0.827
O 0.580 0.583 0.173
O 0.580 0.917 0.673
O 0.743 0.078 0.332
O 0.743 0.422 0.832
O 0.761 0.171 0.514
O 0.761 0.329 0.014
O 0.803 0.587 0.554
O 0.803 0.913 0.054
O 0.944 0.214 0.192
O 0.944 0.286 0.692

***

Record 12
# Li3Ti8O16

A relaxed Li3Ti8O16 crystal (PBE-GGA, the Materials Project database).

a = 5.989 Å, b = 11.970 Å, c = 8.466 Å
α = 90.00°, β = 90.00°, γ = 90.00°
Sites, in units of the cell vectors:
Li 0.250 0.001 0.126
Li 0.250 0.499 0.126
Li 0.250 0.750 0.376
Li 0.750 0.250 0.624
Li 0.750 0.501 0.874
Li 0.750 0.999 0.874
Ti 0.000 0.000 0.500
Ti 0.000 0.500 0.500
Ti 0.002 0.250 0.004
Ti 0.250 0.126 0.745
Ti 0.250 0.374 0.745
Ti 0.250 0.627 0.749
Ti 0.250 0.873 0.749
Ti 0.498 0.250 0.004
Ti 0.500 0.000 0.500
Ti 0.500 0.500 0.500
Ti 0.502 0.750 0.996
Ti 0.750 0.127 0.251
Ti 0.750 0.373 0.251
Ti 0.750 0.626 0.255
Ti 0.750 0.874 0.255
Ti 0.998 0.750 0.996
O 0.026 0.000 0.737
O 0.026 0.250 0.763
O 0.026 0.500 0.737
O 0.031 0.750 0.767
O 0.250 0.108 0.516
O 0.250 0.138 0.986
O 0.250 0.362 0.986
O 0.250 0.392 0.516
O 0.250 0.612 0.512
O 0.250 0.637 0.988
O 0.250 0.863 0.988
O 0.250 0.888 0.512
O 0.469 0.750 0.767
O 0.474 0.000 0.737
O 0.474 0.250 0.763
O 0.474 0.500 0.737
O 0.526 0.000 0.263
O 0.526 0.500 0.263
O 0.526 0.750 0.237
O 0.531 0.250 0.233
O 0.750 0.112 0.488
O 0.750 0.137 0.012
O 0.750 0.363 0.012
O 0.750 0.388 0.488
O 0.750 0.608 0.484
O 0.750 0.638 0.014
O 0.750 0.862 0.014
O 0.750 0.892 0.484
O 0.969 0.250 0.233
O 0.974 0.000 0.263
O 0.974 0.500 0.263
O 0.974 0.750 0.237

***

Record 13
# Ba2ErMgSbO6

A relaxed Ba2ErMgSbO6 crystal (PBE-GGA, the Materials Project database).

Results
- ΔE to the lowest computed polymorph: 240 meV/atom

a = 6.594 Å, b = 6.594 Å, c = 6.594 Å
α = 124.71°, β = 123.33°, γ = 83.17°
Sites, in units of the cell vectors:
Ba 0.193 0.193 0.000
Ba 0.807 0.807 0.000
Er 0.500 0.000 0.500
Mg 0.500 0.500 0.000
Sb 0.000 0.500 0.500
O 0.258 0.758 0.500
O 0.270 0.265 0.534
O 0.270 0.735 0.005
O 0.730 0.265 0.995
O 0.730 0.735 0.466
O 0.742 0.242 0.500

***

Listing DFT formation energy for the structures above in their given order: -0.462, -0.810, -0.609, -0.301, -2.200, -0.616, -1.598, -0.519, -0.360, -0.761, -0.862, -3.281, -2.576 eV per atom.
Listing raw total energy for the structures above in their given order: -199.61, -78.20, -228.38, -116.49, -250.68, -146.79, -54.50, -36.85, -73.53, -82.93, -173.18, -451.32, -68.04 eV per cell.